An optimized crystal structure of YbPd2Au. Source: the Materials Project database, functional meta-GGA r2SCAN.

Cell lengths 4.639, 4.639, 4.639 Å; angles 60.00, 60.00, 60.00 degrees
Element x y z (fractional)
Yb1 0.000 0.000 0.000
Pd1 0.250 0.250 0.250
Pd2 0.750 0.750 0.750
Au1 0.500 0.500 0.500

Computed properties:
Calculated density: 13.71 Mg/m³
Symmetry: Fm-3m
Spin magnetization: 0.00 μB per cell
Formation energy from the elements: -0.83 eV/atom
V: 70.6 Å³/f.u.
Total energy: -34.0859 eV per atom


An optimized crystal structure of Zn2PdAu. Source: the Materials Project database, functional meta-GGA r2SCAN.

Cell lengths 4.372, 4.372, 4.372 Å; angles 60.00, 60.00, 60.00 degrees
Element x y z (fractional)
Zn1 0.250 0.250 0.250
Zn2 0.750 0.750 0.750
Pd1 0.000 0.000 0.000
Au1 0.500 0.500 0.500

Computed properties:
Calculated density: 12.20 Mg/m³
Symmetry: Fm-3m
Spin magnetization: 0.00 μB per cell
Formation energy from the elements: -0.39 eV/atom
V: 59.1 Å³/f.u.
Total energy: -23.2360 eV per atom


- total energy of number 2 (Zn2PdAu)?
  -23.2360 eV per atom